1.
# UGeO4, optimized geometry, DFT PBE
data_UGeO4
_cell_length_a 5.139
_cell_length_b 5.139
_cell_length_c 11.175
_cell_angle_alpha 90.00
_cell_angle_beta 90.00
_cell_angle_gamma 90.00
_symmetry_space_group_name_H-M 'I 41/a'
_symmetry_Int_Tables_number 88
loop_
_symmetry_equiv_pos_as_xyz
'x,y,z'
'-x,-y,-z'
'-y+3/4,x+1/4,z+1/4'
'y+3/4,-x+1/4,-z+1/4'
'-x+1/2,-y,z+1/2'
'x+1/2,y,-z+1/2'
'y+3/4,-x+3/4,z+3/4'
'-y+3/4,x+3/4,-z+3/4'
'x+1/2,y+1/2,z+1/2'
'-x+1/2,-y+1/2,-z+1/2'
'-y+1/4,x+3/4,z+3/4'
'y+1/4,-x+3/4,-z+3/4'
'-x,-y+1/2,z'
'x,y+1/2,-z'
'y+1/4,-x+1/4,z+1/4'
'-y+1/4,x+1/4,-z+1/4'
loop_
_atom_site_label
_atom_site_fract_x
_atom_site_fract_y
_atom_site_fract_z
U1 0.000 0.250 0.125
Ge1 0.000 0.250 0.625
O1 0.158 0.493 0.294
# - Crystal system: tetragonal
# - Calculated formation energy: -2.87 eV/atom



2.
# KBaLaSeO6, optimized geometry, DFT PBE
data_KBaLaSeO6
_cell_length_a 8.415
_cell_length_b 8.415
_cell_length_c 8.415
_cell_angle_alpha 90.00
_cell_angle_beta 90.00
_cell_angle_gamma 90.00
_symmetry_space_group_name_H-M 'F -4 3 m'
_symmetry_Int_Tables_number 216
_symmetry_space_group_name_Hall 'F -4 2 3'
loop_
_atom_site_label
_atom_site_fract_x
_atom_site_fract_y
_atom_site_fract_z
K1 0.000 0.000 0.000
Ba1 0.000 0.000 0.500
La1 0.250 0.250 0.750
Se1 0.250 0.250 0.250
O1 0.030 0.250 0.250
# - Crystal system: cubic
# - Calculated formation energy: -2.43 eV/atom



3.
# Tm2InAg, optimized geometry, DFT PBE
data_Tm2InAg
_cell_length_a 3.659
_cell_length_b 3.659
_cell_length_c 7.349
_cell_angle_alpha 90.00
_cell_angle_beta 90.00
_cell_angle_gamma 90.00
_symmetry_space_group_name_H-M 'P 4/m m m'
_symmetry_Int_Tables_number 123
_symmetry_space_group_name_Hall '-P 4 2'
loop_
_atom_site_label
_atom_site_fract_x
_atom_site_fract_y
_atom_site_fract_z
Tm1 0.000 0.000 0.235
In1 0.500 0.500 0.500
Ag1 0.500 0.500 0.000
# - Crystal system: tetragonal
# - Calculated formation energy: -0.38 eV/atom



4.
# InRhO3, optimized geometry, DFT PBE
data_InRhO3
_cell_length_a 5.499
_cell_length_b 7.866
_cell_length_c 5.341
_cell_angle_alpha 90.00
_cell_angle_beta 90.00
_cell_angle_gamma 90.00
_symmetry_space_group_name_H-M 'P n m a'
_symmetry_Int_Tables_number 62
loop_
_symmetry_equiv_pos_as_xyz
'x,y,z'
'-x,-y,-z'
'-x+1/2,-y,z+1/2'
'x+1/2,y,-z+1/2'
'x+1/2,-y+1/2,-z+1/2'
'-x+1/2,y+1/2,z+1/2'
'-x,y+1/2,-z'
'x,-y+1/2,z'
loop_
_atom_site_label
_atom_site_fract_x
_atom_site_fract_y
_atom_site_fract_z
In1 0.062 0.250 0.025
Rh1 0.000 0.000 0.500
O1 0.070 0.750 0.364
O2 0.200 0.578 0.803
# - Crystal system: orthorhombic
# - Calculated formation energy: -1.47 eV/atom



5.
# CrSe2, optimized geometry, DFT PBE
data_CrSe2
_cell_length_a 5.973
_cell_length_b 3.459
_cell_length_c 11.793
_cell_angle_alpha 90.00
_cell_angle_beta 94.70
_cell_angle_gamma 90.00
_symmetry_space_group_name_H-M 'C 1 2/m 1'
_symmetry_Int_Tables_number 12
loop_
_symmetry_equiv_pos_as_xyz
'x,y,z'
'-x,-y,-z'
'-x,y,-z'
'x,-y,z'
'x+1/2,y+1/2,z'
'-x+1/2,-y+1/2,-z'
'-x+1/2,y+1/2,-z'
'x+1/2,-y+1/2,z'
loop_
_atom_site_label
_atom_site_fract_x
_atom_site_fract_y
_atom_site_fract_z
Cr1 0.000 0.000 0.000
Se1 0.187 0.500 0.127
# - Crystal system: monoclinic
# - Calculated formation energy: -0.75 eV/atom



6.
# CrCoBr3, optimized geometry, DFT PBE
data_CrCoBr3
_cell_length_a 7.0820
_cell_length_b 7.0820
_cell_length_c 5.9431
_cell_angle_alpha 90.00
_cell_angle_beta 90.00
_cell_angle_gamma 120.00
_symmetry_space_group_name_H-M 'P 63/m m c'
_symmetry_Int_Tables_number 194
_symmetry_space_group_name_Hall '-P 6c 2c'
loop_
_atom_site_label
_atom_site_fract_x
_atom_site_fract_y
_atom_site_fract_z
Cr1 0.3333 0.6667 0.2500
Co1 0.0000 0.0000 0.0000
Br1 0.1688 0.3375 0.7500
# - Crystal system: hexagonal
# - Calculated formation energy: -0.21 eV/atom